Ba10CeBi9O30 after structural relaxation, computed with PBE.

**Energy of formation**: -2370 meV per atom
**E_tot**: -306.5 eV/cell
**Density**: 7.43 g/cm3

```
data_Ba10CeBi9O30
_chemical_formula_sum 'Ba10 Ce1 Bi9 O30'
_cell_length_a 8.848
_cell_length_b 10.813
_cell_length_c 10.818
_cell_angle_alpha 80.35
_cell_angle_beta 66.17
_cell_angle_gamma 66.11
_space_group_name_H-M_alt 'P -1'
_space_group_IT_number 2
_space_group_name_Hall '-P 1'
loop_
_atom_site_label
_atom_site_type_symbol
_atom_site_fract_x
_atom_site_fract_y
_atom_site_fract_z
_atom_site_occupancy
Ba1 Ba 0.046 0.304 0.103 1
Ba2 Ba 0.157 0.898 0.300 1
Ba3 Ba 0.245 0.501 0.502 1
Ba4 Ba 0.357 0.100 0.696 1
Ba5 Ba 0.448 0.700 0.901 1
Ce1 Ce 0.000 0.000 0.000 1
Bi1 Bi 0.099 0.601 0.200 1
Bi2 Bi 0.200 0.200 0.399 1
Bi3 Bi 0.300 0.800 0.601 1
Bi4 Bi 0.400 0.399 0.800 1
Bi5 Bi 0.500 0.000 0.000 1
O1 O 0.003 0.188 0.872 1
O2 O 0.039 0.330 0.590 1
O3 O 0.064 0.771 0.614 1
O4 O 0.137 0.428 0.786 1
O5 O 0.159 0.870 0.813 1
O6 O 0.198 0.008 0.531 1
O7 O 0.202 0.391 0.271 1
O8 O 0.237 0.533 0.990 1
O9 O 0.258 0.971 0.014 1
O10 O 0.336 0.629 0.187 1
O11 O 0.360 0.069 0.211 1
O12 O 0.398 0.209 0.928 1
O13 O 0.402 0.592 0.672 1
O14 O 0.438 0.732 0.390 1
O15 O 0.464 0.171 0.413 1
```

=====

Ba3BiCl3O3 after structural relaxation, computed with PBE.

**Energy of formation**: -2538 meV per atom
**E_tot**: -213.4 eV/cell
**Density**: 4.73 g/cm3

```
data_Ba3BiCl3O3
_chemical_formula_sum 'Ba12 Bi4 Cl12 O12'
_cell_length_a 7.150
_cell_length_b 12.220
_cell_length_c 12.468
_cell_angle_alpha 90.00
_cell_angle_beta 90.00
_cell_angle_gamma 90.00
_space_group_name_H-M_alt 'P n m a'
_space_group_IT_number 62
_space_group_name_Hall '-P 2ac 2n'
loop_
_atom_site_label
_atom_site_type_symbol
_atom_site_fract_x
_atom_site_fract_y
_atom_site_fract_z
_atom_site_occupancy
Ba1 Ba 0.150 0.250 0.031 1
Ba2 Ba 0.169 0.068 0.387 1
Bi1 Bi 0.096 0.250 0.621 1
Cl1 Cl 0.085 0.750 0.732 1
Cl2 Cl 0.105 0.503 0.138 1
O1 O 0.072 0.627 0.449 1
O2 O 0.214 0.750 0.993 1
```

=====

BaBiClO2 after structural relaxation, computed with PBE.

**Energy of formation**: -2286 meV per atom
**E_tot**: -110.4 eV/cell
**Density**: 5.92 g/cm3

```
data_BaBiClO2
_chemical_formula_sum 'Ba4 Bi4 Cl4 O8'
_cell_length_a 5.994
_cell_length_b 13.392
_cell_length_c 5.784
_cell_angle_alpha 90.00
_cell_angle_beta 90.00
_cell_angle_gamma 90.00
_space_group_name_H-M_alt 'C m c m'
_space_group_IT_number 63
_space_group_name_Hall '-C 2c 2'
loop_
_atom_site_label
_atom_site_type_symbol
_atom_site_fract_x
_atom_site_fract_y
_atom_site_fract_z
_atom_site_occupancy
Ba1 Ba 0.000 0.117 0.250 1
Bi1 Bi 0.000 0.426 0.250 1
Cl1 Cl 0.000 0.246 0.750 1
O1 O 0.228 0.500 0.000 1
```

=====

BaBiClO2 after structural relaxation, computed with PBE.

**Energy of formation**: -2195 meV per atom
**E_tot**: -54.3 eV/cell
**Density**: 5.93 g/cm3

```
data_BaBiClO2
_chemical_formula_sum 'Ba2 Bi2 Cl2 O4'
_cell_length_a 4.097
_cell_length_b 4.097
_cell_length_c 13.808
_cell_angle_alpha 90.00
_cell_angle_beta 90.00
_cell_angle_gamma 90.00
_space_group_name_H-M_alt 'I 4 m m'
_space_group_IT_number 107
_space_group_name_Hall 'I 4 -2'
loop_
_atom_site_label
_atom_site_type_symbol
_atom_site_fract_x
_atom_site_fract_y
_atom_site_fract_z
_atom_site_occupancy
Ba1 Ba 0.000 0.000 0.000 1
Bi1 Bi 0.000 0.000 0.311 1
Cl1 Cl 0.000 0.000 0.619 1
O1 O 0.000 0.500 0.379 1
```

=====

Question: Which of these has the lowest E_tot?
Answer: Ba10CeBi9O30

=====

Question: What is the formula in the third record?
Answer: BaBiClO2